Computed, not measured: an optimized crystal structure of SmFe5 at the PBE level of DFT.

The structure in CIF format:
```
data_SmFe5
_cell_length_a 3.945
_cell_length_b 5.089
_cell_length_c 5.089
_cell_angle_alpha 120.00
_cell_angle_beta 90.00
_cell_angle_gamma 90.00
_space_group_name_H-M_alt 'P 1'
_space_group_IT_number 1
_space_group_name_Hall 'P 1'
loop_
_atom_site_label
_atom_site_type_symbol
_atom_site_fract_x
_atom_site_fract_y
_atom_site_fract_z
Sm1 Sm 0.000 0.000 0.000
Fe1 Fe 0.500 0.000 0.500
Fe2 Fe 0.000 0.667 0.333
Fe3 Fe 0.000 0.333 0.667
Fe4 Fe 0.500 0.500 0.500
Fe5 Fe 0.500 0.500 0.000
```

Computed properties:
The calculation puts the formation enthalpy at 0 K at 0.006 eV/atom.

=====

Computed, not measured: an optimized crystal structure of AlPS4 at the PBE level of DFT.

The structure in CIF format:
```
data_AlPS4
_cell_length_a 6.610
_cell_length_b 6.610
_cell_length_c 6.610
_cell_angle_alpha 128.88
_cell_angle_beta 123.68
_cell_angle_gamma 79.50
_space_group_name_H-M_alt 'P 1'
_space_group_IT_number 1
_space_group_name_Hall 'P 1'
loop_
_atom_site_label
_atom_site_type_symbol
_atom_site_fract_x
_atom_site_fract_y
_atom_site_fract_z
S1 S 0.927 0.890 0.591
S2 S 0.702 0.110 0.038
S3 S 0.073 0.664 0.962
S4 S 0.298 0.336 0.409
P1 P 0.000 0.000 0.000
Al1 Al 0.000 0.500 0.500
```

Computed properties:
The largest piezoelectric modulus comes out at 0.1 C/m². The calculation puts the formation enthalpy at 0 K at -0.924 eV/atom.

=====

Computed, not measured: an optimized crystal structure of Th2Fe17H3 at the PBE level of DFT.

The structure in CIF format:
```
data_Th2Fe17H3
_cell_length_a 6.463
_cell_length_b 6.463
_cell_length_c 6.463
_cell_angle_alpha 83.86
_cell_angle_beta 83.86
_cell_angle_gamma 83.86
_space_group_name_H-M_alt 'P 1'
_space_group_IT_number 1
_space_group_name_Hall 'P 1'
loop_
_atom_site_label
_atom_site_type_symbol
_atom_site_fract_x
_atom_site_fract_y
_atom_site_fract_z
H1 H 0.500 0.000 0.500
H2 H 0.500 0.500 0.000
H3 H 0.000 0.500 0.500
Fe1 Fe 0.000 0.000 0.500
Fe2 Fe 0.659 0.659 0.154
Fe3 Fe 0.000 0.283 0.717
Fe4 Fe 0.341 0.846 0.341
Fe5 Fe 0.717 0.000 0.283
Fe6 Fe 0.000 0.717 0.283
Fe7 Fe 0.500 0.000 0.000
Fe8 Fe 0.000 0.500 0.000
Fe9 Fe 0.283 0.000 0.717
Fe10 Fe 0.846 0.341 0.341
Fe11 Fe 0.154 0.659 0.659
Fe12 Fe 0.717 0.283 0.000
Fe13 Fe 0.095 0.095 0.095
Fe14 Fe 0.341 0.341 0.846
Fe15 Fe 0.905 0.905 0.905
Fe16 Fe 0.283 0.717 0.000
Fe17 Fe 0.659 0.154 0.659
Th1 Th 0.341 0.341 0.341
Th2 Th 0.659 0.659 0.659
```

Computed properties:
For the size of the total moment, the calculation gives 35.7 Bohr magnetons per cell. The calculation puts the formation enthalpy at 0 K at -0.091 eV/atom.

=====

Computed, not measured: an optimized crystal structure of AgPO3 at the PBE level of DFT.

The structure in CIF format:
```
data_AgPO3
_cell_length_a 4.050
_cell_length_b 5.873
_cell_length_c 11.965
_cell_angle_alpha 68.47
_cell_angle_beta 90.00
_cell_angle_gamma 90.00
_space_group_name_H-M_alt 'P 1'
_space_group_IT_number 1
_space_group_name_Hall 'P 1'
loop_
_atom_site_label
_atom_site_type_symbol
_atom_site_fract_x
_atom_site_fract_y
_atom_site_fract_z
P1 P 0.012 0.155 0.671
P2 P 0.988 0.845 0.329
P3 P 0.512 0.845 0.829
P4 P 0.488 0.155 0.171
O1 O 0.757 0.925 0.713
O2 O 0.743 0.925 0.213
O3 O 0.181 0.146 0.561
O4 O 0.319 0.146 0.061
O5 O 0.149 0.613 0.330
O6 O 0.681 0.854 0.939
O7 O 0.351 0.613 0.830
O8 O 0.819 0.854 0.439
O9 O 0.851 0.387 0.670
O10 O 0.257 0.075 0.787
O11 O 0.243 0.075 0.287
O12 O 0.649 0.387 0.170
Ag1 Ag 0.640 0.318 0.410
Ag2 Ag 0.140 0.682 0.090
Ag3 Ag 0.360 0.682 0.590
Ag4 Ag 0.860 0.318 0.910
```

Computed properties:
For the size of the total moment, the calculation gives 0.0 Bohr magnetons per cell. The calculation puts the formation enthalpy at 0 K at -1.915 eV/atom.

=====

Computed, not measured: an optimized crystal structure of Cs2SiF6 at the PBE level of DFT.

The structure in CIF format:
```
data_Cs2SiF6
_cell_length_a 6.415
_cell_length_b 6.415
_cell_length_c 6.415
_cell_angle_alpha 60.00
_cell_angle_beta 60.00
_cell_angle_gamma 60.00
_space_group_name_H-M_alt 'P 1'
_space_group_IT_number 1
_space_group_name_Hall 'P 1'
loop_
_atom_site_label
_atom_site_type_symbol
_atom_site_fract_x
_atom_site_fract_y
_atom_site_fract_z
F1 F 0.190 0.810 0.190
F2 F 0.810 0.190 0.810
F3 F 0.810 0.190 0.190
F4 F 0.810 0.810 0.190
F5 F 0.190 0.190 0.810
F6 F 0.190 0.810 0.810
Cs1 Cs 0.750 0.750 0.750
Cs2 Cs 0.250 0.250 0.250
Si1 Si 0.000 0.000 0.000
```

Computed properties:
The calculation puts the formation enthalpy at 0 K at -3.438 eV/atom.

=====

Computed, not measured: an optimized crystal structure of PbF4 at the PBE level of DFT.

The structure in CIF format:
```
data_PbF4
_cell_length_a 4.372
_cell_length_b 4.372
_cell_length_c 5.244
_cell_angle_alpha 114.63
_cell_angle_beta 114.63
_cell_angle_gamma 90.00
_space_group_name_H-M_alt 'P 1'
_space_group_IT_number 1
_space_group_name_Hall 'P 1'
loop_
_atom_site_label
_atom_site_type_symbol
_atom_site_fract_x
_atom_site_fract_y
_atom_site_fract_z
F1 F 0.236 0.236 0.471
F2 F 0.000 0.500 0.000
F3 F 0.764 0.764 0.529
F4 F 0.500 0.000 0.000
Pb1 Pb 0.000 0.000 0.000
```

Computed properties:
The calculation puts the formation enthalpy at 0 K at -2.197 eV/atom.

=====

Computed, not measured: an optimized crystal structure of DyB4 at the PBE level of DFT.

The structure in CIF format:
```
data_DyB4
_cell_length_a 7.102
_cell_length_b 7.102
_cell_length_c 4.019
_cell_angle_alpha 90.00
_cell_angle_beta 90.00
_cell_angle_gamma 90.00
_space_group_name_H-M_alt 'P 1'
_space_group_IT_number 1
_space_group_name_Hall 'P 1'
loop_
_atom_site_label
_atom_site_type_symbol
_atom_site_fract_x
_atom_site_fract_y
_atom_site_fract_z
B1 B 0.176 0.961 0.500
B2 B 0.324 0.461 0.500
B3 B 0.500 0.500 0.797
B4 B 0.913 0.587 0.500
B5 B 0.676 0.539 0.500
B6 B 0.500 0.500 0.203
B7 B 0.000 0.000 0.203
B8 B 0.000 0.000 0.797
B9 B 0.087 0.413 0.500
B10 B 0.824 0.039 0.500
B11 B 0.587 0.087 0.500
B12 B 0.413 0.913 0.500
B13 B 0.461 0.676 0.500
B14 B 0.961 0.824 0.500
B15 B 0.039 0.176 0.500
B16 B 0.539 0.324 0.500
Dy1 Dy 0.182 0.682 0.000
Dy2 Dy 0.682 0.818 0.000
Dy3 Dy 0.818 0.318 0.000
Dy4 Dy 0.318 0.182 0.000
```

Computed properties:
The calculation puts the formation enthalpy at 0 K at -0.596 eV/atom.

=====

Computed, not measured: an optimized crystal structure of Ca2Al3Si3HO13 at the PBE level of DFT.

The structure in CIF format:
```
data_Ca2Al3Si3HO13
_cell_length_a 5.606
_cell_length_b 10.119
_cell_length_c 16.373
_cell_angle_alpha 90.00
_cell_angle_beta 90.00
_cell_angle_gamma 90.00
_space_group_name_H-M_alt 'P 1'
_space_group_IT_number 1
_space_group_name_Hall 'P 1'
loop_
_atom_site_label
_atom_site_type_symbol
_atom_site_fract_x
_atom_site_fract_y
_atom_site_fract_z
O1 O 0.250 0.794 0.503
O2 O 0.988 0.930 0.398
O3 O 0.488 0.430 0.102
O4 O 0.750 0.574 0.234
O5 O 0.997 0.353 0.630
O6 O 0.750 0.199 0.719
O7 O 0.250 0.311 0.228
O8 O 0.750 0.444 0.420
O9 O 0.750 0.811 0.272
O10 O 0.250 0.944 0.080
O11 O 0.512 0.930 0.398
O12 O 0.750 0.664 0.509
O13 O 0.491 0.757 0.641
O14 O 0.250 0.556 0.580
O15 O 0.750 0.926 0.734
O16 O 0.509 0.243 0.359
O17 O 0.012 0.430 0.102
O18 O 0.750 0.056 0.920
O19 O 0.997 0.147 0.130
O20 O 0.012 0.070 0.602
O21 O 0.250 0.801 0.281
O22 O 0.503 0.353 0.630
O23 O 0.003 0.647 0.370
O24 O 0.750 0.836 0.009
O25 O 0.250 0.074 0.266
O26 O 0.009 0.743 0.141
O27 O 0.750 0.059 0.271
O28 O 0.250 0.559 0.229
O29 O 0.250 0.426 0.766
O30 O 0.250 0.706 0.003
O31 O 0.750 0.301 0.219
O32 O 0.250 0.164 0.991
O33 O 0.509 0.257 0.859
O34 O 0.512 0.570 0.898
O35 O 0.250 0.336 0.491
O36 O 0.988 0.570 0.898
O37 O 0.250 0.699 0.781
O38 O 0.497 0.853 0.870
O39 O 0.750 0.206 0.497
O40 O 0.503 0.147 0.130
O41 O 0.491 0.743 0.141
O42 O 0.991 0.257 0.859
O43 O 0.750 0.689 0.772
O44 O 0.488 0.070 0.602
O45 O 0.750 0.294 0.997
O46 O 0.250 0.189 0.728
O47 O 0.250 0.941 0.729
O48 O 0.497 0.647 0.370
O49 O 0.003 0.853 0.870
O50 O 0.750 0.441 0.771
O51 O 0.991 0.243 0.359
O52 O 0.009 0.757 0.641
Si1 Si 0.250 0.782 0.089
Si2 Si 0.750 0.935 0.340
Si3 Si 0.250 0.107 0.082
Si4 Si 0.750 0.893 0.918
Si5 Si 0.250 0.435 0.160
Si6 Si 0.750 0.607 0.418
Si7 Si 0.750 0.282 0.411
Si8 Si 0.250 0.718 0.589
Si9 Si 0.250 0.393 0.582
Si10 Si 0.250 0.065 0.660
Si11 Si 0.750 0.218 0.911
Si12 Si 0.750 0.565 0.840
Al1 Al 0.497 0.811 0.751
Al2 Al 0.997 0.189 0.249
Al3 Al 0.003 0.811 0.751
Al4 Al 0.250 0.800 0.394
Al5 Al 0.003 0.689 0.251
Al6 Al 0.503 0.189 0.249
Al7 Al 0.497 0.689 0.251
Al8 Al 0.997 0.311 0.749
Al9 Al 0.750 0.300 0.106
Al10 Al 0.503 0.311 0.749
Al11 Al 0.250 0.700 0.894
Al12 Al 0.750 0.200 0.606
Ca1 Ca 0.250 0.064 0.867
Ca2 Ca 0.750 0.564 0.633
Ca3 Ca 0.750 0.936 0.133
Ca4 Ca 0.750 0.884 0.549
Ca5 Ca 0.250 0.116 0.451
Ca6 Ca 0.250 0.384 0.951
Ca7 Ca 0.750 0.616 0.049
Ca8 Ca 0.250 0.436 0.367
H1 H 0.750 0.024 0.731
H2 H 0.250 0.524 0.769
H3 H 0.250 0.976 0.269
H4 H 0.750 0.476 0.231
```

Computed properties:
For the size of the total moment, the calculation gives 0.0 Bohr magnetons per cell. The calculation puts the formation enthalpy at 0 K at -3.273 eV/atom.

=====

Computed, not measured: an optimized crystal structure of DyMgB5O10 at the PBE level of DFT.

The structure in CIF format:
```
data_DyMgB5O10
_cell_length_a 7.655
_cell_length_b 8.629
_cell_length_c 12.352
_cell_angle_alpha 49.37
_cell_angle_beta 90.00
_cell_angle_gamma 90.00
_space_group_name_H-M_alt 'P 1'
_space_group_IT_number 1
_space_group_name_Hall 'P 1'
loop_
_atom_site_label
_atom_site_type_symbol
_atom_site_fract_x
_atom_site_fract_y
_atom_site_fract_z
O1 O 0.528 0.767 0.648
O2 O 0.873 0.673 0.010
O3 O 0.627 0.673 0.510
O4 O 0.711 0.804 0.231
O5 O 0.391 0.906 0.419
O6 O 0.211 0.196 0.269
O7 O 0.151 0.577 0.426
O8 O 0.028 0.233 0.852
O9 O 0.289 0.196 0.769
O10 O 0.109 0.906 0.919
O11 O 0.350 0.547 0.635
O12 O 0.972 0.767 0.148
O13 O 0.047 0.117 0.625
O14 O 0.913 0.312 0.194
O15 O 0.472 0.233 0.352
O16 O 0.547 0.883 0.875
O17 O 0.127 0.327 0.990
O18 O 0.650 0.453 0.365
O19 O 0.729 0.974 0.979
O20 O 0.373 0.327 0.490
O21 O 0.849 0.423 0.574
O22 O 0.609 0.094 0.581
O23 O 0.531 0.690 0.127
O24 O 0.587 0.312 0.694
O25 O 0.349 0.577 0.926
O26 O 0.651 0.423 0.074
O27 O 0.031 0.310 0.373
O28 O 0.150 0.547 0.135
O29 O 0.469 0.310 0.873
O30 O 0.891 0.094 0.081
O31 O 0.087 0.688 0.806
O32 O 0.271 0.026 0.021
O33 O 0.771 0.974 0.479
O34 O 0.413 0.688 0.306
O35 O 0.789 0.804 0.731
O36 O 0.229 0.026 0.521
O37 O 0.953 0.883 0.375
O38 O 0.453 0.117 0.125
O39 O 0.850 0.453 0.865
O40 O 0.969 0.690 0.627
Mg1 Mg 0.909 0.527 0.372
Mg2 Mg 0.409 0.473 0.128
Mg3 Mg 0.591 0.527 0.872
Mg4 Mg 0.091 0.473 0.628
B1 B 0.468 0.722 0.555
B2 B 0.402 0.153 0.005
B3 B 0.688 0.477 0.588
B4 B 0.173 0.087 0.896
B5 B 0.076 0.341 0.242
B6 B 0.098 0.153 0.505
B7 B 0.424 0.341 0.742
B8 B 0.532 0.278 0.445
B9 B 0.576 0.659 0.258
B10 B 0.924 0.659 0.758
B11 B 0.598 0.847 0.995
B12 B 0.827 0.913 0.104
B13 B 0.188 0.523 0.912
B14 B 0.812 0.477 0.088
B15 B 0.673 0.913 0.604
B16 B 0.327 0.087 0.396
B17 B 0.032 0.722 0.055
B18 B 0.312 0.523 0.412
B19 B 0.902 0.847 0.495
B20 B 0.968 0.278 0.945
Dy1 Dy 0.308 0.946 0.741
Dy2 Dy 0.692 0.054 0.259
Dy3 Dy 0.192 0.946 0.241
Dy4 Dy 0.808 0.054 0.759
```

Computed properties:
For the size of the total moment, the calculation gives 0.0 Bohr magnetons per cell. The calculation puts the formation enthalpy at 0 K at -3.105 eV/atom.

=====

Computed, not measured: an optimized crystal structure of CeSe2 at the PBE level of DFT.

The structure in CIF format:
```
data_CeSe2
_cell_length_a 4.090
_cell_length_b 4.090
_cell_length_c 39.329
_cell_angle_alpha 90.00
_cell_angle_beta 90.00
_cell_angle_gamma 120.00
_space_group_name_H-M_alt 'P 1'
_space_group_IT_number 1
_space_group_name_Hall 'P 1'
loop_
_atom_site_label
_atom_site_type_symbol
_atom_site_fract_x
_atom_site_fract_y
_atom_site_fract_z
Ce1 Ce 0.092 0.185 0.667
Ce2 Ce 0.242 0.483 0.000
Ce3 Ce 0.908 0.815 0.167
Ce4 Ce 0.758 0.517 0.500
Se1 Se 0.909 0.819 0.957
Se2 Se 0.091 0.181 0.457
Se3 Se 0.429 0.858 0.710
Se4 Se 0.093 0.185 0.543
Se5 Se 0.423 0.845 0.623
Se6 Se 0.571 0.142 0.210
Se7 Se 0.907 0.815 0.043
Se8 Se 0.577 0.155 0.123
```

Computed properties:
For the size of the total moment, the calculation gives 0.0 Bohr magnetons per cell. The calculation puts the formation enthalpy at 0 K at -1.657 eV/atom.

=====

Computed, not measured: an optimized crystal structure of CeAsS at the PBE level of DFT.

The structure in CIF format:
```
data_CeAsS
_cell_length_a 3.942
_cell_length_b 3.951
_cell_length_c 17.084
_cell_angle_alpha 90.00
_cell_angle_beta 90.00
_cell_angle_gamma 90.00
_space_group_name_H-M_alt 'P 1'
_space_group_IT_number 1
_space_group_name_Hall 'P 1'
loop_
_atom_site_label
_atom_site_type_symbol
_atom_site_fract_x
_atom_site_fract_y
_atom_site_fract_z
S1 S 0.782 0.250 0.685
S2 S 0.218 0.750 0.315
S3 S 0.282 0.750 0.815
S4 S 0.718 0.250 0.185
As1 As 0.721 0.750 0.001
As2 As 0.279 0.250 0.999
As3 As 0.221 0.250 0.499
As4 As 0.779 0.750 0.501
Ce1 Ce 0.718 0.250 0.354
Ce2 Ce 0.218 0.750 0.146
Ce3 Ce 0.282 0.750 0.646
Ce4 Ce 0.782 0.250 0.854
```

Computed properties:
The calculation puts the formation enthalpy at 0 K at -1.755 eV/atom.

=====

Summary of final energy in eV/atom
-7.838; -4.873; -7.748; -6.121; -5.208; -4.101; -6.861; -7.378; -7.941; -5.651; -6.497
(order as listed above)